First-principles (GGA-PBE) data for SrMg6Mo after structural relaxation, as listed in the Materials Project.

**Energy relative to the elements**: 213 meV/atom
**Magnetic moment**: 0.00 μB/atom
**Energy above the lowest structure with this stoichiometry**: 0 meV/atom
**SG**: P4/mmm
**VASP energy**: -20.4 eV/cell
**Theoretical density**: 2.9 g/cm3

POSCAR file:
```
SrMg6Mo
1.0
6.560 0.000 0.000
0.000 6.560 0.000
0.000 0.000 4.361
Sr Mg Mo
1 6 1
Direct
0.000 0.000 0.000 Sr
0.000 0.500 0.000 Mg
0.284 0.284 0.500 Mg
0.284 0.716 0.500 Mg
0.500 0.000 0.000 Mg
0.716 0.284 0.500 Mg
0.716 0.716 0.500 Mg
0.500 0.500 0.000 Mo
```



First-principles (GGA-PBE) data for MnP4 after structural relaxation, as listed in the Materials Project.

**Energy relative to the elements**: -321 meV/atom
**Magnetic moment**: 0.20 μB/atom
**SG**: C2/c
**VASP energy**: -129.7 eV/cell
**Theoretical density**: 3.9 g/cm3

POSCAR file:
```
MnP4
1.0
2.562 -5.303 0.000
2.562 5.303 0.000
-0.565 0.000 11.071
Mn P
4 16
Direct
0.000 0.500 0.500 Mn
0.094 0.906 0.750 Mn
0.500 0.000 0.000 Mn
0.906 0.094 0.250 Mn
0.043 0.862 0.955 P
0.052 0.557 0.290 P
0.138 0.957 0.545 P
0.243 0.361 0.783 P
0.340 0.545 0.974 P
0.361 0.243 0.283 P
0.443 0.948 0.210 P
0.455 0.660 0.526 P
0.545 0.340 0.474 P
0.557 0.052 0.790 P
0.639 0.757 0.717 P
0.660 0.455 0.026 P
0.757 0.639 0.217 P
0.862 0.043 0.455 P
0.948 0.443 0.710 P
0.957 0.138 0.045 P
```



First-principles (GGA-PBE) data for Mn2SiMo after structural relaxation, as listed in the Materials Project.

**Energy relative to the elements**: -191 meV/atom
**Magnetic moment**: 0.00 μB/atom
**SG**: Cm
**VASP energy**: -106.1 eV/cell
**Theoretical density**: 7.9 g/cm3

POSCAR file:
```
Mn2SiMo
1.0
4.017 -2.378 0.000
4.017 2.378 0.000
-0.337 0.000 7.763
Mn Si Mo
6 3 3
Direct
0.000 0.000 0.000 Mn
0.020 0.020 0.487 Mn
0.193 0.193 0.765 Mn
0.345 0.823 0.238 Mn
0.823 0.345 0.238 Mn
0.828 0.828 0.244 Mn
0.189 0.685 0.730 Si
0.326 0.326 0.087 Si
0.685 0.189 0.730 Si
0.339 0.339 0.432 Mo
0.684 0.684 0.557 Mo
0.698 0.698 0.929 Mo
```



First-principles (GGA-PBE) data for FePH12C4Br4 after structural relaxation, as listed in the Materials Project.

**Energy relative to the elements**: -447 meV/atom
**Magnetic moment**: 0.23 μB/atom
**SG**: F-43m
**VASP energy**: -105.8 eV/cell
**Theoretical density**: 1.9 g/cm3

POSCAR file:
```
FePH12C4Br4
1.0
0.000 5.915 5.915
5.915 0.000 5.915
5.915 5.915 0.000
Fe P H C Br
1 1 12 4 4
Direct
0.000 0.000 0.000 Fe
0.500 0.500 0.500 P
0.184 0.534 0.534 H
0.184 0.534 0.749 H
0.184 0.749 0.534 H
0.534 0.184 0.534 H
0.534 0.184 0.749 H
0.534 0.534 0.184 H
0.534 0.534 0.749 H
0.534 0.749 0.184 H
0.534 0.749 0.534 H
0.749 0.184 0.534 H
0.749 0.534 0.184 H
0.749 0.534 0.534 H
0.237 0.588 0.588 C
0.588 0.237 0.588 C
0.588 0.588 0.237 C
0.588 0.588 0.588 C
0.115 0.115 0.115 Br
0.115 0.115 0.654 Br
0.115 0.654 0.115 Br
0.654 0.115 0.115 Br
```



First-principles (GGA-PBE) data for Cs2ZnCl4 after structural relaxation, as listed in the Materials Project.

**Energy relative to the elements**: -2045 meV/atom
**SG**: Pnma
**VASP energy**: -89.2 eV/cell
**Theoretical density**: 3.2 g/cm3

POSCAR file:
```
Cs2ZnCl4
1.0
9.987 0.000 0.000
0.000 7.433 0.000
0.000 0.000 13.399
Cs Zn Cl
8 4 16
Direct
0.015 0.250 0.174 Cs
0.138 0.750 0.404 Cs
0.362 0.250 0.904 Cs
0.485 0.750 0.674 Cs
0.515 0.250 0.326 Cs
0.638 0.750 0.096 Cs
0.862 0.250 0.596 Cs
0.985 0.750 0.826 Cs
0.233 0.750 0.077 Zn
0.267 0.250 0.577 Zn
0.733 0.750 0.423 Zn
0.767 0.250 0.923 Zn
0.006 0.750 0.092 Cl
0.180 0.001 0.653 Cl
0.180 0.499 0.653 Cl
0.185 0.250 0.417 Cl
0.315 0.750 0.917 Cl
0.320 0.501 0.153 Cl
0.320 0.999 0.153 Cl
0.494 0.250 0.592 Cl
0.506 0.750 0.408 Cl
0.680 0.001 0.847 Cl
0.680 0.499 0.847 Cl
0.685 0.250 0.083 Cl
0.815 0.750 0.583 Cl
0.820 0.501 0.347 Cl
0.820 0.999 0.347 Cl
0.994 0.250 0.908 Cl
```



First-principles (GGA-PBE) data for K2RbTaI6 after structural relaxation, as listed in the Materials Project.

**Energy relative to the elements**: -1099 meV/atom
**Magnetic moment**: 0.20 μB/atom
**SG**: Fm-3m
**VASP energy**: -32.9 eV/cell
**Theoretical density**: 3.7 g/cm3

POSCAR file:
```
K2RbTaI6
1.0
0.000 6.271 6.271
6.271 0.000 6.271
6.271 6.271 0.000
K Rb Ta I
2 1 1 6
Direct
0.250 0.250 0.250 K
0.750 0.750 0.750 K
0.000 0.000 0.000 Rb
0.500 0.500 0.500 Ta
0.274 0.274 0.726 I
0.274 0.726 0.274 I
0.274 0.726 0.726 I
0.726 0.274 0.274 I
0.726 0.274 0.726 I
0.726 0.726 0.274 I
```



First-principles (GGA-PBE) data for HfH8S2O12 after structural relaxation, as listed in the Materials Project.

**Energy relative to the elements**: -1826 meV/atom
**Magnetic moment**: 0.00 μB/atom
**SG**: Fddd
**VASP energy**: -277.0 eV/cell
**Theoretical density**: 3.4 g/cm3

POSCAR file:
```
HfH8S2O12
1.0
0.000 5.804 13.058
2.814 0.000 13.058
2.814 5.804 0.000
Hf H S O
2 16 4 24
Direct
0.125 0.125 0.125 Hf
0.875 0.875 0.875 Hf
0.038 0.515 0.747 H
0.119 0.762 0.373 H
0.200 0.747 0.515 H
0.238 0.881 0.754 H
0.246 0.373 0.762 H
0.253 0.800 0.962 H
0.373 0.246 0.119 H
0.485 0.962 0.800 H
0.515 0.038 0.200 H
0.627 0.754 0.881 H
0.747 0.200 0.038 H
0.754 0.627 0.238 H
0.762 0.119 0.246 H
0.800 0.253 0.485 H
0.881 0.238 0.627 H
0.962 0.485 0.253 H
0.182 0.182 0.568 S
0.432 0.432 0.818 S
0.568 0.568 0.182 S
0.818 0.818 0.432 S
0.022 0.551 0.276 O
0.079 0.540 0.785 O
0.082 0.212 0.465 O
0.096 0.785 0.540 O
0.212 0.082 0.741 O
0.215 0.904 0.921 O
0.259 0.535 0.788 O
0.276 0.651 0.022 O
0.349 0.724 0.449 O
0.449 0.978 0.349 O
0.460 0.921 0.904 O
0.465 0.741 0.082 O
0.535 0.259 0.918 O
0.540 0.079 0.096 O
0.551 0.022 0.651 O
0.651 0.276 0.551 O
0.724 0.349 0.978 O
0.741 0.465 0.212 O
0.785 0.096 0.079 O
0.788 0.918 0.259 O
0.904 0.215 0.460 O
0.918 0.788 0.535 O
0.921 0.460 0.215 O
0.978 0.449 0.724 O
```



First-principles (GGA-PBE) data for Zr4Si3Sb5 after structural relaxation, as listed in the Materials Project.

**Energy relative to the elements**: -646 meV/atom
**Magnetic moment**: 0.00 μB/atom
**SG**: P-4m2
**VASP energy**: -77.9 eV/cell
**Theoretical density**: 6.8 g/cm3

POSCAR file:
```
Zr4Si3Sb5
1.0
3.850 0.000 0.000
0.000 3.850 0.000
0.000 0.000 17.436
Zr Si Sb
4 3 5
Direct
0.000 0.500 0.121 Zr
0.000 0.500 0.628 Zr
0.500 0.000 0.372 Zr
0.500 0.000 0.879 Zr
0.000 0.000 0.000 Si
0.000 0.000 0.500 Si
0.500 0.500 0.000 Si
0.000 0.500 0.300 Sb
0.000 0.500 0.810 Sb
0.500 0.000 0.190 Sb
0.500 0.000 0.700 Sb
0.500 0.500 0.500 Sb
```



First-principles (GGA-PBE) data for Tb2Cr2C3 after structural relaxation, as listed in the Materials Project.

**Energy relative to the elements**: -292 meV/atom
**SG**: C2/m
**VASP energy**: -58.3 eV/cell
**Theoretical density**: 8.0 g/cm3

POSCAR file:
```
Tb2Cr2C3
1.0
5.202 -1.698 0.000
5.202 1.698 0.000
-1.520 0.000 5.400
Tb Cr C
2 2 3
Direct
0.105 0.105 0.317 Tb
0.895 0.895 0.683 Tb
0.343 0.343 0.107 Cr
0.657 0.657 0.893 Cr
0.213 0.213 0.772 C
0.500 0.500 0.000 C
0.787 0.787 0.228 C
```



First-principles (GGA-PBE) data for Zr3TiCu2 after structural relaxation, as listed in the Materials Project.

**Energy relative to the elements**: -116 meV/atom
**SG**: P4mm
**VASP energy**: -42.4 eV/cell
**Theoretical density**: 6.7 g/cm3

POSCAR file:
```
Zr3TiCu2
1.0
3.175 0.000 0.000
0.000 3.175 0.000
0.000 0.000 11.111
Zr Ti Cu
3 1 2
Direct
0.000 0.000 0.000 Zr
0.000 0.000 0.325 Zr
0.500 0.500 0.523 Zr
0.500 0.500 0.822 Ti
0.000 0.000 0.693 Cu
0.500 0.500 0.165 Cu
```



First-principles (GGA-PBE) data for BaO10 after structural relaxation, as listed in the Materials Project.

**Energy relative to the elements**: -560 meV/atom
**Magnetic moment**: 0.00 μB/atom
**Energy above the lowest structure with this stoichiometry**: 41 meV/atom
**SG**: P4/mcc
**VASP energy**: -111.9 eV/cell
**Theoretical density**: 3.0 g/cm3

POSCAR file:
```
BaO10
1.0
5.711 0.000 0.000
0.000 5.711 0.000
0.000 0.000 10.254
Ba O
2 20
Direct
0.000 0.000 0.250 Ba
0.000 0.000 0.750 Ba
0.068 0.411 0.101 O
0.068 0.411 0.899 O
0.068 0.589 0.399 O
0.068 0.589 0.601 O
0.411 0.068 0.399 O
0.411 0.068 0.601 O
0.411 0.932 0.101 O
0.411 0.932 0.899 O
0.500 0.500 0.059 O
0.500 0.500 0.441 O
0.500 0.500 0.559 O
0.500 0.500 0.941 O
0.589 0.068 0.101 O
0.589 0.068 0.899 O
0.589 0.932 0.399 O
0.589 0.932 0.601 O
0.932 0.411 0.399 O
0.932 0.411 0.601 O
0.932 0.589 0.101 O
0.932 0.589 0.899 O
```



First-principles (GGA-PBE) data for NaHf3TaP6O24 after structural relaxation, as listed in the Materials Project.

**Energy relative to the elements**: -3206 meV/atom
**Magnetic moment**: 0.00 μB/atom
**SG**: P3
**VASP energy**: -870.0 eV/cell
**Theoretical density**: 4.2 g/cm3

POSCAR file:
```
NaHf3TaP6O24
1.0
8.830 0.000 0.000
-4.415 7.647 0.000
0.000 0.000 22.980
Na Hf Ta P O
3 9 3 18 72
Direct
0.000 0.000 0.000 Na
0.000 0.000 0.499 Na
0.333 0.667 0.165 Na
0.000 0.000 0.146 Hf
0.000 0.000 0.352 Hf
0.000 0.000 0.646 Hf
0.000 0.000 0.852 Hf
0.333 0.667 0.020 Hf
0.333 0.667 0.524 Hf
0.667 0.333 0.188 Hf
0.667 0.333 0.475 Hf
0.667 0.333 0.976 Hf
0.333 0.667 0.313 Ta
0.333 0.667 0.811 Ta
0.667 0.333 0.687 Ta
0.000 0.290 0.749 P
0.002 0.711 0.250 P
0.047 0.668 0.916 P
0.048 0.380 0.417 P
0.289 0.291 0.250 P
0.290 0.000 0.749 P
0.332 0.380 0.916 P
0.332 0.952 0.417 P
0.378 0.045 0.083 P
0.381 0.332 0.582 P
0.620 0.668 0.417 P
0.620 0.953 0.916 P
0.667 0.622 0.083 P
0.668 0.049 0.582 P
0.709 0.998 0.250 P
0.710 0.710 0.749 P
0.951 0.619 0.582 P
0.955 0.333 0.083 P
0.028 0.197 0.408 O
0.028 0.831 0.907 O
0.033 0.209 0.696 O
0.038 0.827 0.196 O
0.131 0.637 0.576 O
0.139 0.496 0.076 O
0.140 0.496 0.362 O
0.140 0.644 0.861 O
0.160 0.474 0.761 O
0.162 0.699 0.969 O
0.163 0.465 0.470 O
0.168 0.691 0.259 O
0.169 0.197 0.907 O
0.170 0.972 0.408 O
0.173 0.211 0.196 O
0.176 0.967 0.696 O
0.194 0.024 0.089 O
0.198 0.170 0.591 O
0.204 0.179 0.304 O
0.209 0.033 0.803 O
0.301 0.463 0.969 O
0.302 0.837 0.470 O
0.309 0.477 0.259 O
0.314 0.840 0.761 O
0.356 0.496 0.861 O
0.356 0.860 0.362 O
0.357 0.861 0.076 O
0.363 0.494 0.576 O
0.462 0.157 0.028 O
0.464 0.301 0.529 O
0.470 0.314 0.241 O
0.474 0.161 0.737 O
0.490 0.129 0.137 O
0.495 0.132 0.423 O
0.495 0.363 0.923 O
0.496 0.356 0.637 O
0.504 0.643 0.076 O
0.504 0.644 0.362 O
0.504 0.860 0.861 O
0.506 0.869 0.576 O
0.523 0.832 0.259 O
0.526 0.686 0.761 O
0.535 0.698 0.470 O
0.537 0.838 0.969 O
0.637 0.132 0.923 O
0.637 0.505 0.423 O
0.639 0.510 0.137 O
0.644 0.140 0.637 O
0.686 0.156 0.241 O
0.686 0.526 0.737 O
0.695 0.538 0.028 O
0.699 0.163 0.529 O
0.789 0.962 0.196 O
0.791 0.824 0.696 O
0.803 0.830 0.408 O
0.803 0.972 0.907 O
0.821 0.025 0.304 O
0.824 0.791 0.803 O
0.830 0.028 0.591 O
0.830 0.806 0.089 O
0.837 0.536 0.529 O
0.839 0.314 0.737 O
0.843 0.305 0.028 O
0.844 0.530 0.241 O
0.860 0.504 0.637 O
0.868 0.363 0.423 O
0.868 0.505 0.923 O
0.871 0.361 0.137 O
0.967 0.176 0.803 O
0.972 0.802 0.591 O
0.975 0.796 0.304 O
0.976 0.170 0.089 O
```